# r²SCAN Sc3Tc, relaxed
data_Sc3Tc
_cell_length_a 6.2464
_cell_length_b 6.2464
_cell_length_c 4.7448
_cell_angle_alpha 90.00
_cell_angle_beta 90.00
_cell_angle_gamma 120.00
_space_group_name_H-M_alt 'P 63/m m c'
_space_group_IT_number 194
_space_group_name_Hall '-P 6c 2c'
loop_
_atom_site_label
_atom_site_fract_x
_atom_site_fract_y
_atom_site_fract_z
Sc1 0.1719 0.3438 0.2500
Tc1 0.3333 0.6667 0.7500
# * ΔH_f (0 K): -0.033 eV per atom